[1]
Here is an optimized crystal structure of BaSrPrNbO6 from the Materials Project. Energies are from PBE.

It has space group F-43m (No. 216), with a = 8.704 Å, b = 8.704 Å, c = 8.704 Å, α = 90.00°, β = 90.00° and γ = 90.00°. The inequivalent atoms are Ba at (0.000, 0.000, 0.000), Sr at (0.000, 0.000, 0.500), Pr at (0.250, 0.250, 0.750), Nb at (0.250, 0.250, 0.250) and O at (0.018, 0.250, 0.250).

The crystal system is cubic. The offset from the most stable computed form is 62 meV per atom. The calculation puts the spin magnetization at 0.00 μB/atom.

---

[2]
Here is an optimized crystal structure of Tm2Mg from the Materials Project. Energies are from PBE.

It has space group Cmcm (No. 63), with a = 3.584 Å, b = 17.179 Å, c = 5.403 Å, α = 90.00°, β = 90.00° and γ = 90.00°. The inequivalent atoms are Tm at (0.000, 0.098, 0.250), Tm at (0.000, 0.226, 0.750) and Mg at (0.000, 0.437, 0.250).

The crystal system is orthorhombic.

---

[3]
Here is an optimized crystal structure of Ca3SiBr2 from the Materials Project. Energies are from PBE.

It has space group Cm (No. 8), with a = 7.871 Å, b = 4.614 Å, c = 11.676 Å, α = 90.00°, β = 103.38° and γ = 90.00°. The inequivalent atoms are Ca at (0.000, 0.000, 0.000), Ca at (0.067, 0.500, 0.587), Ca at (0.246, 0.500, 0.222), Si at (0.374, 0.000, 0.112), Br at (0.192, 0.000, 0.464) and Br at (0.445, 0.500, 0.715).

The crystal system is monoclinic. The offset from the most stable computed form is 148 meV per atom. The calculation puts the spin magnetization at 0.00 μB/atom.

---

DFT formation energy values (in eV/atom) by entry order: -3.292, -0.040, -1.257.